# 1
Compound: Ag2Se
Source: the Materials Project
Functional: GGA-PBE
Structure: relaxed

Summary:
ΔE_f ... -0.66 eV per formula unit
DFT total energy ... -3.116 eV per atom
Space-group type ... P2_12_12_1, No. 19
Largest piezoelectric modulus ... 0.5 C/m2
ρ ... 7259 kg/m3

CIF file:
```
data_Ag2Se
_chemical_formula_sum 'Ag8 Se4'
_space_group_name_H-M_alt 'P 1'
_space_group_IT_number 1
_cell_length_a 4.6799
_cell_length_b 7.3893
_cell_length_c 7.7972
_cell_angle_alpha 90.00
_cell_angle_beta 90.00
_cell_angle_gamma 90.00
loop_
_space_group_symop_operation_xyz
'x,y,z'
loop_
_atom_site_label
_atom_site_type_symbol
_atom_site_fract_x
_atom_site_fract_y
_atom_site_fract_z
_atom_site_occupancy
Ag1 Ag 0.0055 0.1338 0.4592 1
Ag2 Ag 0.0106 0.3325 0.7879 1
Ag3 Ag 0.4894 0.6675 0.2879 1
Ag4 Ag 0.4945 0.8662 0.9592 1
Ag5 Ag 0.5055 0.3662 0.5408 1
Ag6 Ag 0.5106 0.1675 0.2121 1
Ag7 Ag 0.9894 0.8325 0.7121 1
Ag8 Ag 0.9945 0.6338 0.0408 1
Se1 Se 0.0032 0.5449 0.5159 1
Se2 Se 0.4968 0.4551 0.0159 1
Se3 Se 0.5032 0.9551 0.4841 1
Se4 Se 0.9968 0.0449 0.9841 1
```



# 2
Compound: Cu3B2O6
Source: the Materials Project
Functional: GGA-PBE
Structure: relaxed

Summary:
ΔE_f ... -19.25 eV per formula unit
DFT total energy ... -6.406 eV per atom
Space-group type ... P2_1, No. 4
ρ ... 4244 kg/m3

CIF file:
```
data_Cu3B2O6
_chemical_formula_sum 'Cu36 B24 O72'
_space_group_name_H-M_alt 'P 1'
_space_group_IT_number 1
_cell_length_a 9.3072
_cell_length_b 8.5999
_cell_length_c 18.1466
_cell_angle_alpha 90.00
_cell_angle_beta 94.82
_cell_angle_gamma 90.00
loop_
_space_group_symop_operation_xyz
'x,y,z'
loop_
_atom_site_label
_atom_site_type_symbol
_atom_site_fract_x
_atom_site_fract_y
_atom_site_fract_z
_atom_site_occupancy
Cu1 Cu 0.0059 0.0829 0.2535 1
Cu2 Cu 0.0236 0.4126 0.2683 1
Cu3 Cu 0.0305 0.7427 0.2611 1
Cu4 Cu 0.0827 0.9771 0.4414 1
Cu5 Cu 0.0957 0.1656 0.9478 1
Cu6 Cu 0.1065 0.7768 0.9069 1
Cu7 Cu 0.1642 0.5908 0.4358 1
Cu8 Cu 0.2247 0.4081 0.8515 1
Cu9 Cu 0.2476 0.2265 0.3641 1
Cu10 Cu 0.2515 0.7502 0.6352 1
Cu11 Cu 0.2788 0.5691 0.1492 1
Cu12 Cu 0.3360 0.3863 0.5643 1
Cu13 Cu 0.4080 0.1985 0.0965 1
Cu14 Cu 0.4146 0.8115 0.0569 1
Cu15 Cu 0.4173 0.0000 0.5585 1
Cu16 Cu 0.4695 0.2344 0.7389 1
Cu17 Cu 0.4764 0.5644 0.7315 1
Cu18 Cu 0.4940 0.8940 0.7461 1
Cu19 Cu 0.5060 0.3940 0.2539 1
Cu20 Cu 0.5236 0.0644 0.2685 1
Cu21 Cu 0.5305 0.7344 0.2611 1
Cu22 Cu 0.5827 0.5000 0.4415 1
Cu23 Cu 0.5854 0.3115 0.9431 1
Cu24 Cu 0.5920 0.6985 0.9035 1
Cu25 Cu 0.6640 0.8863 0.4357 1
Cu26 Cu 0.7212 0.0691 0.8508 1
Cu27 Cu 0.7485 0.2502 0.3648 1
Cu28 Cu 0.7524 0.7265 0.6359 1
Cu29 Cu 0.7753 0.9081 0.1485 1
Cu30 Cu 0.8358 0.0908 0.5642 1
Cu31 Cu 0.8935 0.2768 0.0931 1
Cu32 Cu 0.9043 0.6656 0.0522 1
Cu33 Cu 0.9173 0.4771 0.5586 1
Cu34 Cu 0.9695 0.2427 0.7389 1
Cu35 Cu 0.9764 0.9126 0.7317 1
Cu36 Cu 0.9941 0.5829 0.7465 1
B1 B 0.0256 0.2979 0.4772 1
B2 B 0.0384 0.4848 0.9823 1
B3 B 0.1917 0.1046 0.6508 1
B4 B 0.2251 0.4027 0.6876 1
B5 B 0.2342 0.9283 0.1721 1
B6 B 0.2376 0.7469 0.7929 1
B7 B 0.2618 0.2303 0.2059 1
B8 B 0.2666 0.0488 0.8282 1
B9 B 0.2750 0.5743 0.3124 1
B10 B 0.3083 0.8725 0.3491 1
B11 B 0.4475 0.4900 0.0125 1
B12 B 0.4744 0.6794 0.5227 1
B13 B 0.5256 0.1794 0.4773 1
B14 B 0.5525 0.9900 0.9875 1
B15 B 0.6917 0.3725 0.6509 1
B16 B 0.7250 0.0743 0.6876 1
B17 B 0.7334 0.5488 0.1718 1
B18 B 0.7382 0.7303 0.7941 1
B19 B 0.7624 0.2469 0.2071 1
B20 B 0.7658 0.4283 0.8279 1
B21 B 0.7749 0.9027 0.3124 1
B22 B 0.8083 0.6046 0.3492 1
B23 B 0.9616 0.9848 0.0177 1
B24 B 0.9744 0.7979 0.5228 1
O1 O 0.0221 0.6434 0.9705 1
O2 O 0.0465 0.9508 0.9598 1
O3 O 0.0752 0.0856 0.6913 1
O4 O 0.0759 0.4134 0.6985 1
O5 O 0.0788 0.4448 0.4980 1
O6 O 0.0822 0.2015 0.4282 1
O7 O 0.0948 0.7686 0.4844 1
O8 O 0.1125 0.2486 0.2171 1
O9 O 0.1197 0.3873 0.9444 1
O10 O 0.1200 0.9134 0.2140 1
O11 O 0.1377 0.7498 0.7218 1
O12 O 0.1755 0.5783 0.2407 1
O13 O 0.1818 0.6286 0.8415 1
O14 O 0.2092 0.8988 0.8348 1
O15 O 0.2095 0.1739 0.8630 1
O16 O 0.2185 0.4526 0.3595 1
O17 O 0.2486 0.7234 0.3561 1
O18 O 0.2490 0.9956 0.3837 1
O19 O 0.2513 0.2536 0.6438 1
O20 O 0.2510 0.9814 0.6162 1
O21 O 0.2818 0.5246 0.6405 1
O22 O 0.2902 0.0783 0.1642 1
O23 O 0.2928 0.8029 0.1381 1
O24 O 0.3168 0.3475 0.1566 1
O25 O 0.3248 0.3982 0.7591 1
O26 O 0.3620 0.2276 0.2772 1
O27 O 0.3743 0.5897 0.0537 1
O28 O 0.3800 0.0635 0.7858 1
O29 O 0.3874 0.7286 0.7826 1
O30 O 0.4053 0.2086 0.5157 1
O31 O 0.4176 0.7757 0.5716 1
O32 O 0.4212 0.5324 0.5021 1
O33 O 0.4240 0.5638 0.3012 1
O34 O 0.4248 0.8914 0.3086 1
O35 O 0.4817 0.3358 0.0297 1
O36 O 0.4953 0.0207 0.0549 1
O37 O 0.5047 0.5207 0.9451 1
O38 O 0.5183 0.8358 0.9703 1
O39 O 0.5752 0.3914 0.6914 1
O40 O 0.5760 0.0638 0.6988 1
O41 O 0.5788 0.0324 0.4979 1
O42 O 0.5824 0.2757 0.4284 1
O43 O 0.5947 0.7086 0.4843 1
O44 O 0.6126 0.2286 0.2174 1
O45 O 0.6200 0.5635 0.2142 1
O46 O 0.6257 0.0897 0.9463 1
O47 O 0.6380 0.7276 0.7228 1
O48 O 0.6752 0.8982 0.2409 1
O49 O 0.6832 0.8475 0.8434 1
O50 O 0.7072 0.3029 0.8619 1
O51 O 0.7098 0.5783 0.8358 1
O52 O 0.7182 0.0246 0.3595 1
O53 O 0.7490 0.4814 0.3838 1
O54 O 0.7487 0.7536 0.3562 1
O55 O 0.7514 0.2234 0.6439 1
O56 O 0.7510 0.4956 0.6163 1
O57 O 0.7815 0.9526 0.6405 1
O58 O 0.7905 0.6739 0.1370 1
O59 O 0.7908 0.3988 0.1652 1
O60 O 0.8182 0.1286 0.1585 1
O61 O 0.8245 0.0783 0.7593 1
O62 O 0.8623 0.2498 0.2782 1
O63 O 0.8800 0.4134 0.7860 1
O64 O 0.8803 0.8873 0.0556 1
O65 O 0.8875 0.7486 0.7829 1
O66 O 0.9052 0.2686 0.5156 1
O67 O 0.9178 0.7015 0.5718 1
O68 O 0.9212 0.9448 0.5020 1
O69 O 0.9241 0.9134 0.3015 1
O70 O 0.9248 0.5856 0.3087 1
O71 O 0.9535 0.4508 0.0402 1
O72 O 0.9779 0.1434 0.0295 1
```



# 3
Compound: CaAl2Si4H2O12
Source: the Materials Project
Functional: GGA-PBE
Structure: relaxed

Summary:
ΔE_f ... -58.59 eV per formula unit
DFT total energy ... -7.033 eV per atom
Space-group type ... C2, No. 5
ρ ... 1880 kg/m3

CIF file:
```
data_CaAl2Si4H2O12
_chemical_formula_sum 'Ca2 Al4 Si8 H4 O24'
_space_group_name_H-M_alt 'P 1'
_space_group_IT_number 1
_cell_length_a 10.0429
_cell_length_b 10.0429
_cell_length_c 7.5868
_cell_angle_alpha 105.90
_cell_angle_beta 105.90
_cell_angle_gamma 83.46
loop_
_space_group_symop_operation_xyz
'x,y,z'
loop_
_atom_site_label
_atom_site_type_symbol
_atom_site_fract_x
_atom_site_fract_y
_atom_site_fract_z
_atom_site_occupancy
Ca1 Ca 0.2448 0.2448 0.2441 1
Ca2 Ca 0.7552 0.7552 0.7559 1
Al1 Al 0.0670 0.6785 0.7695 1
Al2 Al 0.3215 0.9330 0.2305 1
Al3 Al 0.6797 0.0651 0.7609 1
Al4 Al 0.9349 0.3203 0.2391 1
Si1 Si 0.0343 0.8008 0.1770 1
Si2 Si 0.1258 0.3579 0.6626 1
Si3 Si 0.1992 0.9657 0.8230 1
Si4 Si 0.3575 0.1220 0.6560 1
Si5 Si 0.6421 0.8742 0.3374 1
Si6 Si 0.8008 0.0342 0.1742 1
Si7 Si 0.8780 0.6425 0.3440 1
Si8 Si 0.9658 0.1992 0.8258 1
H1 H 0.2528 0.5211 0.2543 1
H2 H 0.4789 0.7472 0.7457 1
H3 H 0.4895 0.2674 0.1485 1
H4 H 0.7326 0.5105 0.8515 1
O1 O 0.0094 0.6957 0.2954 1
O2 O 0.0278 0.2646 0.0568 1
O3 O 0.0523 0.0522 0.7654 1
O4 O 0.0910 0.3298 0.4296 1
O5 O 0.1525 0.5186 0.7670 1
O6 O 0.1771 0.8033 0.7824 1
O7 O 0.1967 0.8229 0.2176 1
O8 O 0.2671 0.2642 0.7305 1
O9 O 0.2695 0.0296 0.0524 1
O10 O 0.3043 0.9906 0.7046 1
O11 O 0.3289 0.0878 0.4230 1
O12 O 0.4814 0.8475 0.2330 1
O13 O 0.5185 0.1481 0.7571 1
O14 O 0.6702 0.9090 0.5704 1
O15 O 0.6926 0.0047 0.2850 1
O16 O 0.7354 0.9722 0.9432 1
O17 O 0.7358 0.7329 0.2695 1
O18 O 0.8026 0.1775 0.7753 1
O19 O 0.8225 0.1974 0.2247 1
O20 O 0.8519 0.4815 0.2429 1
O21 O 0.9122 0.6711 0.5770 1
O22 O 0.9478 0.9477 0.2346 1
O23 O 0.9704 0.7305 0.9476 1
O24 O 0.9953 0.3074 0.7150 1
```



# 4
Compound: LiNd2Si2
Source: the Materials Project
Functional: GGA-PBE
Structure: relaxed

Summary:
ΔE_f ... -2.84 eV per formula unit
DFT total energy ... -5.055 eV per atom
Space-group type ... P4/mbm, No. 127
ρ ... 4924 kg/m3

CIF file:
```
data_LiNd2Si2
_chemical_formula_sum 'Li2 Nd4 Si4'
_space_group_name_H-M_alt 'P 1'
_space_group_IT_number 1
_cell_length_a 7.4584
_cell_length_b 7.4584
_cell_length_c 4.2633
_cell_angle_alpha 90.00
_cell_angle_beta 90.00
_cell_angle_gamma 90.00
loop_
_space_group_symop_operation_xyz
'x,y,z'
loop_
_atom_site_label
_atom_site_type_symbol
_atom_site_fract_x
_atom_site_fract_y
_atom_site_fract_z
_atom_site_occupancy
Li1 Li 0.0000 0.0000 0.0000 1
Li2 Li 0.5000 0.5000 0.0000 1
Nd1 Nd 0.1812 0.3188 0.5000 1
Nd2 Nd 0.3188 0.8188 0.5000 1
Nd3 Nd 0.6812 0.1812 0.5000 1
Nd4 Nd 0.8188 0.6812 0.5000 1
Si1 Si 0.1142 0.6142 0.0000 1
Si2 Si 0.3858 0.1142 0.0000 1
Si3 Si 0.6142 0.8858 0.0000 1
Si4 Si 0.8858 0.3858 0.0000 1
```



# 5
Compound: NaSbS2
Source: the Materials Project
Functional: GGA-PBE
Structure: relaxed

Summary:
ΔE_f ... -3.25 eV per formula unit
DFT total energy ... -3.993 eV per atom
Space-group type ... P4/mmm, No. 123
ρ ... 3978 kg/m3

CIF file:
```
data_NaSbS2
_chemical_formula_sum 'Na1 Sb1 S2'
_space_group_name_H-M_alt 'P 1'
_space_group_IT_number 1
_cell_length_a 4.0062
_cell_length_b 4.0062
_cell_length_c 5.4330
_cell_angle_alpha 90.00
_cell_angle_beta 90.00
_cell_angle_gamma 90.00
loop_
_space_group_symop_operation_xyz
'x,y,z'
loop_
_atom_site_label
_atom_site_type_symbol
_atom_site_fract_x
_atom_site_fract_y
_atom_site_fract_z
_atom_site_occupancy
Na1 Na 0.0000 0.0000 0.0000 1
Sb1 Sb 0.5000 0.5000 0.5000 1
S1 S 0.0000 0.0000 0.5000 1
S2 S 0.5000 0.5000 0.0000 1
```



# 6
Compound: Ca2Sn3O8
Source: the Materials Project
Functional: GGA-PBE
Structure: relaxed

Summary:
ΔE_f ... -32.52 eV per formula unit
DFT total energy ... -6.357 eV per atom
Space-group type ... P6_3mc, No. 186
Largest piezoelectric modulus ... 0.9 C/m2
ρ ... 4888 kg/m3

CIF file:
```
data_Ca2Sn3O8
_chemical_formula_sum 'Ca4 Sn6 O16'
_space_group_name_H-M_alt 'P 1'
_space_group_IT_number 1
_cell_length_a 6.4834
_cell_length_b 6.4834
_cell_length_c 10.5326
_cell_angle_alpha 90.00
_cell_angle_beta 90.00
_cell_angle_gamma 120.00
loop_
_space_group_symop_operation_xyz
'x,y,z'
loop_
_atom_site_label
_atom_site_type_symbol
_atom_site_fract_x
_atom_site_fract_y
_atom_site_fract_z
_atom_site_occupancy
Ca1 Ca 0.3333 0.6667 0.0000 1
Ca2 Ca 0.3333 0.6667 0.3780 1
Ca3 Ca 0.6667 0.3333 0.5000 1
Ca4 Ca 0.6667 0.3333 0.8780 1
Sn1 Sn 0.1647 0.3294 0.7149 1
Sn2 Sn 0.1647 0.8353 0.7149 1
Sn3 Sn 0.3294 0.1647 0.2149 1
Sn4 Sn 0.6706 0.8353 0.7149 1
Sn5 Sn 0.8353 0.1647 0.2149 1
Sn6 Sn 0.8353 0.6706 0.2149 1
O1 O 0.0000 0.0000 0.3195 1
O2 O 0.0000 0.0000 0.8195 1
O3 O 0.0483 0.5241 0.8258 1
O4 O 0.1630 0.3260 0.1233 1
O5 O 0.1630 0.8370 0.1233 1
O6 O 0.3260 0.1630 0.6233 1
O7 O 0.3333 0.6667 0.6047 1
O8 O 0.4759 0.5241 0.8258 1
O9 O 0.4759 0.9517 0.8258 1
O10 O 0.5241 0.0483 0.3258 1
O11 O 0.5241 0.4759 0.3258 1
O12 O 0.6667 0.3333 0.1047 1
O13 O 0.6740 0.8370 0.1233 1
O14 O 0.8370 0.1630 0.6233 1
O15 O 0.8370 0.6740 0.6233 1
O16 O 0.9517 0.4759 0.3258 1
```



# 7
Compound: Cs2PtCl6
Source: the Materials Project
Functional: GGA-PBE
Structure: relaxed

Summary:
ΔE_f ... -14.96 eV per formula unit
DFT total energy ... -3.359 eV per atom
Space-group type ... Fm-3m, No. 225
ρ ... 3734 kg/m3

CIF file:
```
data_Cs2PtCl6
_chemical_formula_sum 'Cs2 Pt1 Cl6'
_space_group_name_H-M_alt 'P 1'
_space_group_IT_number 1
_cell_length_a 7.5105
_cell_length_b 7.5105
_cell_length_c 7.5105
_cell_angle_alpha 60.00
_cell_angle_beta 60.00
_cell_angle_gamma 60.00
loop_
_space_group_symop_operation_xyz
'x,y,z'
loop_
_atom_site_label
_atom_site_type_symbol
_atom_site_fract_x
_atom_site_fract_y
_atom_site_fract_z
_atom_site_occupancy
Cs1 Cs 0.2500 0.2500 0.2500 1
Cs2 Cs 0.7500 0.7500 0.7500 1
Pt1 Pt 0.0000 0.0000 0.0000 1
Cl1 Cl 0.2217 0.2217 0.7783 1
Cl2 Cl 0.2217 0.7783 0.2217 1
Cl3 Cl 0.2217 0.7783 0.7783 1
Cl4 Cl 0.7783 0.2217 0.2217 1
Cl5 Cl 0.7783 0.2217 0.7783 1
Cl6 Cl 0.7783 0.7783 0.2217 1
```



Number 1: corrected total energy (MP2020 scheme) -3.273 eV per atom. Number 2: corrected total energy (MP2020 scheme) -6.781 eV per atom. Number 3: corrected total energy (MP2020 scheme) -7.426 eV per atom. Number 4: corrected total energy (MP2020 scheme) -5.026 eV per atom. Number 5: corrected total energy (MP2020 scheme) -4.244 eV per atom. Number 6: corrected total energy (MP2020 scheme) -6.780 eV per atom. Number 7: corrected total energy (MP2020 scheme) -3.768 eV per atom.